Li2Ni21O42 | PBE with a Hubbard U | relaxed

Structure (extended XYZ):
```
65
Lattice="7.428 0.000 0.000 3.155 6.886 0.000 2.672 -0.002 13.535" Properties=species:S:1:pos:R:3 pbc="T T T"
Li 2.908 3.278 3.545
Li 10.347 3.606 9.989
Ni 2.390 0.808 9.324
Ni 1.845 2.441 0.943
Ni 3.974 4.122 6.151
Ni 6.084 5.728 11.281
Ni 2.381 0.481 2.881
Ni 4.508 2.123 8.034
Ni 6.634 3.777 13.219
Ni 6.080 5.399 4.838
Ni 5.054 0.162 9.988
Ni 4.498 1.797 1.587
Ni 6.628 3.442 6.767
Ni 8.757 5.087 11.948
Ni 8.201 6.722 3.547
Ni 7.175 1.485 8.696
Ni 6.621 3.107 0.316
Ni 8.747 4.761 5.501
Ni 10.874 6.403 10.653
Ni 7.171 1.156 2.254
Ni 9.281 2.762 7.384
Ni 11.410 4.443 12.591
Ni 10.865 6.076 4.210
O 4.484 4.837 10.835
O 3.424 3.661 7.891
O 3.936 6.479 2.445
O 5.571 5.315 13.044
O 2.921 1.223 7.565
O 1.883 0.080 4.645
O 3.900 1.796 9.754
O 5.046 2.895 12.740
O 4.474 4.508 4.397
O 3.417 3.334 1.434
O 6.550 6.140 9.523
O 5.565 4.986 6.598
O 2.913 0.900 1.121
O 7.656 6.583 11.802
O 3.892 1.474 3.307
O 5.042 2.574 6.285
O 7.167 4.191 11.479
O 6.091 3.015 8.511
O 6.542 5.815 3.076
O 5.545 4.649 0.164
O 5.608 0.628 8.179
O 7.647 6.256 5.356
O 7.710 2.235 13.371
O 6.713 1.069 10.458
O 7.164 3.869 5.023
O 6.088 2.692 2.055
O 8.213 4.310 7.250
O 9.363 5.410 10.227
O 5.599 0.301 1.733
O 10.342 5.984 12.414
O 7.690 1.898 6.937
O 6.705 0.744 4.012
O 9.838 3.550 12.101
O 8.781 2.376 9.138
O 8.209 3.989 0.795
O 9.355 5.088 3.781
O 11.372 6.804 8.889
O 10.335 5.661 5.970
O 7.684 1.569 0.491
O 9.319 0.405 11.089
O 9.831 3.223 5.644
O 8.771 2.047 2.700
```

Calculated values
VASP energy, eV per atom: -4.3461
Calculated formation energy, eV/f.u.: -31.70
Crystal system: triclinic

***

Li4Mn5P6WO24 | PBE with a Hubbard U | relaxed

Structure (extended XYZ):
```
40
Lattice="8.728 0.000 0.000 4.001 7.776 0.000 4.051 2.500 7.348" Properties=species:S:1:pos:R:3 pbc="T T T"
Li 0.000 0.000 0.000
Li 6.691 6.163 6.978
Li 8.782 6.126 2.162
Li 10.374 2.374 3.640
Mn 8.420 8.222 4.757
Mn 6.777 1.997 5.857
Mn 10.068 4.030 7.312
Mn 8.464 3.100 1.072
Mn 11.196 4.688 2.252
P 3.980 3.961 5.137
P 2.772 1.189 1.422
P 5.415 4.804 0.643
P 8.372 4.595 4.349
P 11.273 7.989 2.898
P 13.946 8.432 6.586
W 5.727 6.636 3.662
O 1.931 2.502 1.618
O 6.112 7.689 5.454
O 4.983 5.078 4.688
O 4.639 2.564 5.303
O 6.753 8.303 2.905
O 3.982 4.291 0.875
O 2.022 0.326 0.410
O 5.851 5.691 1.871
O 9.409 8.151 6.691
O 4.232 1.386 1.088
O 7.772 6.078 4.046
O 7.279 3.608 4.649
O 6.456 3.670 0.566
O 10.360 8.565 4.002
O 9.378 4.771 5.467
O 9.026 4.232 2.952
O 12.550 8.741 6.127
O 7.480 1.217 1.725
O 10.611 6.681 2.408
O 14.757 9.681 6.949
O 9.842 4.836 0.371
O 12.695 7.675 3.448
O 12.222 4.385 6.549
O 11.612 3.798 4.081
```

Calculated values
VASP energy, eV per atom: -7.2249
Calculated formation energy, eV/f.u.: -100.63
Crystal system: triclinic

***

LiCr2O4 | PBE with a Hubbard U | relaxed

Structure (extended XYZ):
```
14
Lattice="-2.915 2.982 4.101 2.915 -2.982 4.101 2.915 2.982 -4.101" Properties=species:S:1:pos:R:3 pbc="T T T"
Li -1.457 1.491 2.050
Li 1.457 1.491 2.050
Cr 0.000 0.000 0.000
Cr 2.915 1.491 -1.057
Cr 0.000 2.982 0.000
Cr 0.000 1.491 5.157
O 2.915 2.953 -2.096
O 1.372 1.491 -0.009
O 1.542 -1.491 4.092
O 2.915 -0.030 2.096
O 0.000 3.012 2.005
O 1.372 4.474 0.009
O 1.542 1.491 4.109
O 0.000 0.030 6.197
```

Calculated values
VASP energy, eV per atom: -7.0621
Calculated formation energy, eV/f.u.: -15.17
Crystal system: orthorhombic
Offset from the most stable computed form, eV per formula unit: 0.63

***

MgCo4Te8O20 | PBE with a Hubbard U | relaxed

Structure (extended XYZ):
```
33
Lattice="6.313 0.000 0.000 -0.010 7.218 0.000 -0.673 -0.257 10.975" Properties=species:S:1:pos:R:3 pbc="T T T"
Mg 0.000 0.000 0.000
Co 0.982 5.699 2.119
Co 0.880 2.088 7.454
Co 3.850 5.866 0.666
Co 4.057 2.230 6.177
Te -0.315 4.842 5.130
Te 2.248 4.840 8.366
Te 2.130 1.075 10.548
Te 2.778 3.151 3.056
Te 2.653 6.735 5.005
Te 5.298 3.139 10.346
Te 5.775 1.353 3.014
Te 5.493 6.537 7.980
O -0.313 3.242 6.119
O 0.612 2.014 0.370
O 0.571 4.203 3.532
O 0.321 3.495 9.038
O 1.404 7.083 3.582
O 1.418 5.447 5.889
O 1.363 0.632 8.864
O 2.020 6.998 0.482
O 2.257 1.080 5.981
O 2.867 4.787 2.074
O 2.666 3.174 7.553
O 3.165 4.482 9.994
O 3.735 3.659 4.594
O 3.731 5.787 7.380
O 3.733 0.006 10.437
O 4.321 2.349 2.040
O 4.658 0.888 4.466
O 5.199 1.184 7.539
O 5.543 6.978 1.949
O 6.246 4.968 0.456
```

Calculated values
VASP energy, eV per atom: -5.5003
Calculated formation energy, eV/f.u.: -47.66
Crystal system: triclinic
Offset from the most stable computed form, eV per formula unit: 0.00

***

BaNaPrFeO6 | PBE with a Hubbard U | relaxed

Structure (extended XYZ):
```
10
Lattice="0.000 4.201 4.201 4.201 0.000 4.201 4.201 4.201 0.000" Properties=species:S:1:pos:R:3 pbc="T T T"
Ba 0.000 0.000 0.000
Na 4.201 4.201 4.201
Pr 2.101 2.101 2.101
Fe 6.302 6.302 6.302
O 6.302 6.302 4.425
O 6.302 4.425 6.302
O 8.179 6.302 6.302
O 4.425 6.302 6.302
O 6.302 8.179 6.302
O 6.302 6.302 8.179
```

Calculated values
VASP energy, eV per atom: -6.1399
Calculated formation energy, eV/f.u.: -21.60
Crystal system: cubic

***

- The lowest VASP energy belongs to which entry?
  Li4Mn5P6WO24